Record 1
B2NCl3: relaxed, PBE.

Results
Total DFT energy (no corrections) = -399.61 eV for the cell shown
E_form = -1317 meV/atom

Lattice parameters (Å, degrees): 10.069 10.069 16.781 90.00 90.00 90.00
Space group P4_12_12 (No. 92)
Asymmetric unit:
B (0.016, 0.100, 0.064) x8
B (0.097, 0.097, 0.500) x4
B (0.126, 0.295, 0.133) x8
B (0.209, 0.209, 0.000) x4
N (0.007, 0.007, 0.000) x4
N (0.117, 0.202, 0.066) x8
Cl (0.043, 0.565, 0.377) x8
Cl (0.074, 0.248, 0.549) x8
Cl (0.093, 0.898, 0.857) x8
Cl (0.166, 0.834, 0.250) x4
Cl (0.198, 0.247, 0.224) x8

***

Record 2
BNCl: relaxed, PBE.

Results
Total DFT energy (no corrections) = -211.15 eV for the cell shown
E_form = -448 meV/atom

Lattice parameters (Å, degrees): 14.333 13.830 4.100 90.00 90.00 90.00
Space group Pnma (No. 62)
Asymmetric unit:
B (0.060, 0.250, 0.053) x4
B (0.080, 0.657, 0.200) x8
N (0.009, 0.165, 0.963) x8
N (0.116, 0.750, 0.269) x4
Cl (0.133, 0.547, 0.299) x8
Cl (0.168, 0.250, 0.257) x4

***

Record 3
BN2Cl: relaxed, PBE.

Results
Total DFT energy (no corrections) = -185.86 eV for the cell shown
E_form = 339 meV/atom

Lattice parameters (Å, degrees): 11.883 8.401 5.411 90.00 90.00 90.00
Space group Cmce (No. 64)
Asymmetric unit:
B (0.000, 0.207, 0.074) x8
N (0.000, 0.071, 0.238) x8
N (0.000, 0.225, 0.333) x8
Cl (0.182, 0.000, 0.000) x8

***

Record 4
BP2N2Cl7: relaxed, PBE.

Results
Total DFT energy (no corrections) = -222.52 eV for the cell shown
E_form = -1068 meV/atom

Lattice parameters (Å, degrees): 9.980 8.652 15.826 90.00 110.83 90.00
Space group P2_1/c (No. 14)
Asymmetric unit:
B (0.098, 0.071, 0.016) x4
P (0.106, 0.625, 0.664) x4
P (0.333, 0.524, 0.833) x4
N (0.037, 0.542, 0.570) x4
N (0.230, 0.522, 0.733) x4
Cl (0.045, 0.174, 0.784) x4
Cl (0.116, 0.226, 0.559) x4
Cl (0.188, 0.663, 0.157) x4
Cl (0.240, 0.564, 0.923) x4
Cl (0.270, 0.008, 0.006) x4
Cl (0.427, 0.182, 0.364) x4
Cl (0.495, 0.675, 0.862) x4